w.
CoH32C8S4N2O10, relaxed, DFT PBE+U; spin magnetization = 2.0 μB per cell
1.0
10.530 0.000 0.000
0.000 11.487 0.000
-6.882 0.000 10.473
Co H C S N O
2 64 16 8 4 20
Direct
0.000 0.000 0.000 Co
0.000 0.500 0.500 Co
0.013 0.084 0.822 H
0.013 0.416 0.322 H
0.017 0.708 0.337 H
0.017 0.792 0.837 H
0.135 0.120 0.601 H
0.135 0.380 0.101 H
0.170 0.003 0.526 H
0.170 0.497 0.026 H
0.193 0.521 0.177 H
0.193 0.979 0.677 H
0.198 0.610 0.363 H
0.198 0.890 0.863 H
0.255 0.673 0.920 H
0.255 0.827 0.420 H
0.330 0.237 0.586 H
0.330 0.263 0.086 H
0.338 0.216 0.782 H
0.338 0.284 0.282 H
0.357 0.113 0.515 H
0.357 0.387 0.015 H
0.395 0.080 0.867 H
0.395 0.420 0.367 H
0.415 0.003 0.226 H
0.415 0.497 0.726 H
0.435 0.570 0.128 H
0.435 0.930 0.628 H
0.439 0.588 0.273 H
0.439 0.912 0.773 H
0.468 0.664 0.642 H
0.468 0.836 0.142 H
0.482 0.676 0.842 H
0.482 0.824 0.342 H
0.518 0.176 0.658 H
0.518 0.324 0.158 H
0.532 0.164 0.858 H
0.532 0.336 0.358 H
0.561 0.088 0.227 H
0.561 0.412 0.727 H
0.565 0.070 0.372 H
0.565 0.430 0.872 H
0.585 0.503 0.274 H
0.585 0.997 0.774 H
0.605 0.580 0.633 H
0.605 0.920 0.133 H
0.643 0.613 0.985 H
0.643 0.887 0.485 H
0.662 0.716 0.718 H
0.662 0.784 0.218 H
0.670 0.737 0.914 H
0.670 0.763 0.414 H
0.745 0.173 0.580 H
0.745 0.327 0.080 H
0.802 0.110 0.137 H
0.802 0.390 0.637 H
0.807 0.021 0.323 H
0.807 0.479 0.823 H
0.830 0.503 0.974 H
0.830 0.997 0.474 H
0.865 0.620 0.899 H
0.865 0.880 0.399 H
0.983 0.208 0.163 H
0.983 0.292 0.663 H
0.987 0.584 0.678 H
0.987 0.916 0.178 H
0.204 0.043 0.617 C
0.204 0.457 0.117 C
0.396 0.157 0.606 C
0.396 0.343 0.106 C
0.412 0.140 0.808 C
0.412 0.360 0.308 C
0.465 0.529 0.218 C
0.465 0.971 0.718 C
0.535 0.029 0.282 C
0.535 0.471 0.782 C
0.588 0.640 0.692 C
0.588 0.860 0.192 C
0.604 0.657 0.894 C
0.604 0.843 0.394 C
0.796 0.543 0.883 C
0.796 0.957 0.383 C
0.077 0.681 0.735 S
0.077 0.819 0.235 S
0.172 0.632 0.568 S
0.172 0.868 0.068 S
0.828 0.132 0.932 S
0.828 0.368 0.432 S
0.923 0.181 0.765 S
0.923 0.319 0.265 S
0.368 0.078 0.686 N
0.368 0.422 0.186 N
0.632 0.578 0.814 N
0.632 0.922 0.314 N
0.044 0.237 0.735 O
0.044 0.263 0.235 O
0.086 0.221 0.987 O
0.086 0.279 0.487 O
0.143 0.114 0.040 O
0.143 0.386 0.540 O
0.189 0.606 0.867 O
0.189 0.894 0.367 O
0.250 0.680 0.363 O
0.250 0.820 0.863 O
0.750 0.180 0.137 O
0.750 0.320 0.637 O
0.811 0.106 0.633 O
0.811 0.394 0.133 O
0.857 0.614 0.460 O
0.857 0.886 0.960 O
0.914 0.721 0.513 O
0.914 0.779 0.013 O
0.956 0.737 0.765 O
0.956 0.763 0.265 O

x.
CoH32C8S4N2O10, relaxed, DFT PBE+U; spin magnetization = 6.0 μB per cell
1.0
10.221 0.000 0.000
0.000 10.715 0.000
-6.751 0.000 9.814
Co H C S N O
2 64 16 8 4 20
Direct
0.000 0.000 0.000 Co
0.000 0.500 0.500 Co
0.085 0.163 0.205 H
0.085 0.337 0.705 H
0.110 0.101 0.869 H
0.110 0.399 0.369 H
0.118 0.138 0.582 H
0.118 0.362 0.082 H
0.155 0.003 0.514 H
0.155 0.497 0.014 H
0.174 0.509 0.172 H
0.174 0.991 0.672 H
0.179 0.033 0.261 H
0.179 0.467 0.761 H
0.185 0.537 0.412 H
0.185 0.963 0.912 H
0.309 0.244 0.071 H
0.309 0.256 0.571 H
0.341 0.231 0.792 H
0.341 0.269 0.292 H
0.348 0.123 0.501 H
0.348 0.377 0.001 H
0.404 0.083 0.877 H
0.404 0.417 0.377 H
0.417 0.002 0.233 H
0.417 0.498 0.733 H
0.418 0.572 0.112 H
0.418 0.928 0.612 H
0.436 0.592 0.270 H
0.436 0.908 0.770 H
0.459 0.675 0.636 H
0.459 0.825 0.136 H
0.490 0.698 0.849 H
0.490 0.802 0.349 H
0.510 0.198 0.651 H
0.510 0.302 0.151 H
0.541 0.175 0.864 H
0.541 0.325 0.364 H
0.564 0.092 0.230 H
0.564 0.408 0.730 H
0.582 0.072 0.388 H
0.582 0.428 0.888 H
0.583 0.502 0.267 H
0.583 0.998 0.767 H
0.596 0.583 0.623 H
0.596 0.917 0.123 H
0.652 0.623 0.999 H
0.652 0.877 0.499 H
0.659 0.731 0.708 H
0.659 0.769 0.208 H
0.691 0.744 0.429 H
0.691 0.756 0.929 H
0.815 0.037 0.088 H
0.815 0.463 0.588 H
0.821 0.533 0.239 H
0.821 0.967 0.739 H
0.826 0.009 0.328 H
0.826 0.491 0.828 H
0.845 0.503 0.986 H
0.845 0.997 0.486 H
0.882 0.638 0.918 H
0.882 0.862 0.418 H
0.890 0.601 0.631 H
0.890 0.899 0.131 H
0.915 0.663 0.295 H
0.915 0.837 0.795 H
0.188 0.052 0.607 C
0.188 0.448 0.107 C
0.383 0.173 0.595 C
0.383 0.327 0.095 C
0.416 0.149 0.814 C
0.416 0.351 0.314 C
0.458 0.529 0.210 C
0.458 0.971 0.710 C
0.542 0.029 0.290 C
0.542 0.471 0.790 C
0.584 0.649 0.686 C
0.584 0.851 0.186 C
0.617 0.673 0.905 C
0.617 0.827 0.405 C
0.812 0.552 0.893 C
0.812 0.948 0.393 C
0.149 0.701 0.612 S
0.149 0.799 0.112 S
0.158 0.713 0.786 S
0.158 0.787 0.286 S
0.842 0.213 0.714 S
0.842 0.287 0.214 S
0.851 0.201 0.888 S
0.851 0.299 0.388 S
0.361 0.087 0.681 N
0.361 0.413 0.181 N
0.639 0.587 0.819 N
0.639 0.913 0.319 N
0.010 0.218 0.752 O
0.010 0.282 0.252 O
0.143 0.098 0.189 O
0.143 0.402 0.689 O
0.161 0.039 0.944 O
0.161 0.461 0.444 O
0.239 0.599 0.869 O
0.239 0.901 0.369 O
0.244 0.672 0.359 O
0.244 0.828 0.859 O
0.756 0.172 0.141 O
0.756 0.328 0.641 O
0.761 0.099 0.631 O
0.761 0.401 0.131 O
0.839 0.539 0.556 O
0.839 0.961 0.056 O
0.857 0.598 0.311 O
0.857 0.902 0.811 O
0.990 0.718 0.748 O
0.990 0.782 0.248 O

Quick one: most stable of them? x

w.
Li5Fe8B8O24, relaxed, DFT PBE+U; spin magnetization = 35.0 μB per cell
1.0
5.264 0.000 0.000
-0.010 9.104 0.000
-2.530 -4.492 10.123
Li Fe B O
5 8 8 24
Direct
0.000 0.000 0.000 Li
0.038 0.028 0.735 Li
0.283 0.238 0.499 Li
0.498 0.498 0.996 Li
0.783 0.731 0.491 Li
0.032 0.348 0.713 Fe
0.263 0.545 0.458 Fe
0.285 0.922 0.213 Fe
0.482 0.145 0.965 Fe
0.533 0.836 0.714 Fe
0.762 0.049 0.460 Fe
0.785 0.423 0.215 Fe
0.975 0.644 0.959 Fe
0.033 0.681 0.710 B
0.254 0.885 0.463 B
0.277 0.589 0.206 B
0.489 0.805 0.963 B
0.529 0.163 0.705 B
0.746 0.381 0.458 B
0.778 0.089 0.208 B
0.989 0.304 0.958 B
0.002 0.885 0.475 O
0.027 0.062 0.191 O
0.094 0.159 0.941 O
0.109 0.416 0.929 O
0.147 0.500 0.253 O
0.155 0.705 0.172 O
0.258 0.845 0.006 O
0.268 0.667 0.670 O
0.350 0.989 0.415 O
0.375 0.275 0.688 O
0.425 0.785 0.504 O
0.435 0.054 0.751 O
0.489 0.376 0.460 O
0.527 0.560 0.191 O
0.600 0.908 0.917 O
0.606 0.674 0.965 O
0.649 0.999 0.253 O
0.653 0.205 0.172 O
0.759 0.336 0.004 O
0.772 0.147 0.676 O
0.849 0.494 0.417 O
0.888 0.805 0.697 O
0.912 0.280 0.494 O
0.948 0.579 0.756 O

x.
Li5Fe8B8O24, relaxed, DFT PBE+U; spin magnetization = 35.0 μB per cell
1.0
5.257 0.000 0.000
0.028 8.980 0.000
0.269 0.066 10.344
Li Fe B O
5 8 8 24
Direct
0.000 0.000 0.000 Li
0.002 0.978 0.507 Li
0.313 0.003 0.752 Li
0.318 0.979 0.250 Li
0.815 0.483 0.262 Li
0.321 0.337 0.778 Fe
0.321 0.648 0.287 Fe
0.496 0.172 0.034 Fe
0.499 0.820 0.532 Fe
0.805 0.812 0.786 Fe
0.806 0.152 0.288 Fe
0.989 0.333 0.536 Fe
0.998 0.659 0.042 Fe
0.000 0.321 0.038 B
0.316 0.666 0.796 B
0.319 0.320 0.294 B
0.484 0.161 0.544 B
0.487 0.827 0.044 B
0.821 0.825 0.287 B
0.831 0.159 0.782 B
0.998 0.662 0.537 B
0.062 0.322 0.339 O
0.074 0.674 0.854 O
0.228 0.308 0.968 O
0.238 0.674 0.485 O
0.355 0.029 0.552 O
0.357 0.294 0.576 O
0.357 0.697 0.076 O
0.359 0.961 0.051 O
0.424 0.184 0.253 O
0.430 0.798 0.754 O
0.435 0.532 0.777 O
0.460 0.445 0.287 O
0.565 0.831 0.318 O
0.568 0.171 0.807 O
0.742 0.165 0.506 O
0.746 0.822 0.010 O
0.875 0.528 0.543 O
0.875 0.792 0.582 O
0.876 0.190 0.078 O
0.905 0.456 0.073 O
0.933 0.694 0.241 O
0.955 0.028 0.805 O
0.963 0.284 0.735 O
0.971 0.950 0.307 O

Quick one: most stable of them? w

w.
Crystalline V4O5F7 at its relaxed geometry, computed with PBE+U.

POSCAR file:
```
V4O5F7
1.0
5.158 0.000 0.000
2.558 4.715 0.000
2.460 1.596 8.555
V O F
4 5 7
Direct
0.000 0.000 0.000 V
0.199 0.256 0.253 V
0.442 0.520 0.495 V
0.743 0.777 0.749 V
0.030 0.687 0.597 O
0.050 0.109 0.177 O
0.360 0.855 0.920 O
0.378 0.436 0.347 O
0.860 0.925 0.844 O
0.435 0.894 0.386 F
0.487 0.141 0.636 F
0.538 0.603 0.675 F
0.549 0.193 0.089 F
0.883 0.345 0.438 F
0.912 0.400 0.882 F
0.984 0.651 0.141 F
```

x.
V4O5F7, relaxed, DFT PBE+U; spin magnetization = 3.0 μB per cell
1.0
5.248 0.000 0.000
-0.101 5.384 0.000
-0.005 -0.250 7.480
V O F
4 5 7
Direct
0.000 0.000 0.000 V
0.063 0.062 0.498 V
0.485 0.508 0.990 V
0.553 0.570 0.512 V
0.246 0.315 0.039 O
0.313 0.250 0.467 O
0.451 0.539 0.767 O
0.746 0.818 0.541 O
0.814 0.750 0.974 O
0.127 0.017 0.755 F
0.237 0.744 0.454 F
0.318 0.818 0.057 F
0.606 0.526 0.250 F
0.741 0.254 0.955 F
0.815 0.320 0.558 F
0.927 0.054 0.254 F

Quick one: most stable of them? w